The following is a DFT calculation (meta-GGA r2SCAN) of a geometry-optimized Ta structure.

Lattice parameters (Å, degrees): 10.222 10.222 5.308 90.00 90.00 90.00
Space group P-42_1m (No. 113)
Unique sites:
Ta: 0.000 0.500 0.242
Ta: 0.035 0.128 0.743
Ta: 0.068 0.239 0.243
Ta: 0.105 0.395 0.741
Ta: 0.181 0.681 0.499
Ta: 0.181 0.681 0.998

Values from the calculation:
volume = 18.488 Å³/atom
magnetization = 0.00 Bohr magnetons per cell
excess energy over the best structure of this formula in the dataset = 0 meV per atom
formation energy = 0.000 eV/atom
calculated density = 16.3 g/cm³